Record 1
! Li9Co7O16, relaxed, DFT GGA+U; values from VASP
! Energy relative to the elements = -1.7018 eV/atom
! SG = C2/m
! ΔE to the lowest computed polymorph = 54 meV per atom
! Magnetization = 2.00 μB/f.u.
! Uncorrected energy = -5.5658 eV/atom
&SYSTEM
  ibrav = 0, nat = 32, ntyp = 3
/
ATOMIC_SPECIES
Li 6.94 Li.upf
Co 58.93 Co.upf
O 16.00 O.upf
CELL_PARAMETERS angstrom
8.332 -2.913 0.000
8.332 2.913 0.000
-0.055 0.000 5.870
ATOMIC_POSITIONS angstrom
Li 0.000 0.000 0.000
Li -0.027 0.000 2.935
Li 6.241 1.474 4.393
Li 4.137 0.000 2.938
Li 10.367 1.474 1.477
Li 8.332 0.000 0.000
Li 6.241 -1.474 4.393
Li 12.471 0.000 2.933
Li 10.367 -1.474 1.477
Co 6.282 1.478 1.509
Co 4.160 0.000 0.009
Co 10.327 1.478 4.362
Co 8.304 0.000 2.935
Co 6.282 -1.478 1.509
Co 12.448 0.000 5.861
Co 10.327 -1.478 4.362
O 4.208 1.460 1.382
O 2.094 0.000 3.061
O 2.059 0.000 5.821
O 8.239 1.330 1.585
O 8.369 1.330 4.285
O 6.178 0.000 0.123
O 6.375 0.000 2.913
O 12.401 1.460 4.488
O 4.208 -1.460 1.382
O 10.234 0.000 2.958
O 10.430 0.000 5.747
O 8.239 -1.330 1.585
O 8.369 -1.330 4.285
O 14.549 0.000 0.049
O 14.515 0.000 2.809
O 12.401 -1.460 4.488


Record 2
! Li5CrFe4P10O35, relaxed, DFT GGA+U; values from VASP
! Energy relative to the elements = -2.5508 eV/atom
! SG = P1
! Magnetization = 23.01 μB/f.u.
! Uncorrected energy = -7.0112 eV/atom
&SYSTEM
  ibrav = 0, nat = 110, ntyp = 5
/
ATOMIC_SPECIES
Li 6.94 Li.upf
Cr 52.00 Cr.upf
Fe 55.84 Fe.upf
P 30.97 P.upf
O 16.00 O.upf
CELL_PARAMETERS angstrom
4.887 0.000 0.000
-2.298 6.628 0.000
-0.013 -0.032 41.041
ATOMIC_POSITIONS angstrom
Li 0.000 0.000 0.000
Li 4.885 -0.006 8.208
Li -0.004 -0.012 16.417
Li -2.303 6.605 24.622
Li 2.581 6.599 32.830
Li 0.978 2.436 4.104
Li 0.976 2.430 12.313
Li 0.968 2.411 36.937
Li 0.976 2.431 20.521
Li 0.974 2.425 28.729
Cr 2.543 6.320 21.611
Cr 2.541 6.313 29.819
Fe 1.020 2.759 1.091
Fe 1.017 2.753 9.299
Fe 1.009 2.747 25.719
Fe 1.008 2.736 33.921
Fe 1.013 2.751 17.513
Fe 2.548 6.304 5.195
Fe 2.546 6.298 13.404
Fe 2.538 6.279 38.028
P 0.172 5.097 3.417
P 0.170 5.090 11.625
P 0.162 5.072 36.250
P 0.167 5.089 19.848
P 0.165 5.083 28.056
P 2.380 1.323 23.105
P 2.378 1.316 31.311
P 2.386 1.341 6.689
P 2.383 1.335 14.899
P 2.375 1.315 39.522
P 3.473 1.071 19.001
P 3.471 1.065 27.208
P 3.478 1.092 2.585
P 3.476 1.085 10.794
P 3.468 1.066 35.418
P 3.384 3.950 23.927
P 3.381 3.944 32.135
P 3.393 3.963 7.521
P 3.390 3.956 15.730
P 3.383 3.938 40.354
O 4.418 1.344 1.403
O 4.416 1.337 9.611
O -0.472 1.332 17.822
O -0.473 1.325 26.029
O 4.409 1.318 34.234
O -1.579 5.282 23.180
O -1.581 5.276 31.387
O -1.573 5.298 6.774
O -1.575 5.291 14.983
O -1.583 5.273 39.607
O -1.258 5.472 3.760
O -1.261 5.465 11.968
O -1.270 5.456 28.386
O -1.268 5.446 36.593
O -1.267 5.463 20.178
O -0.075 3.573 24.280
O -0.077 3.567 32.487
O -0.064 3.587 7.865
O -0.067 3.580 16.075
O -0.074 3.561 40.698
O 0.243 3.753 19.097
O 0.241 3.746 27.304
O 0.251 3.762 2.669
O 0.249 3.755 10.877
O 0.241 3.736 35.501
O 1.435 1.073 21.923
O 1.433 1.067 30.131
O 1.446 1.090 5.506
O 1.443 1.083 13.716
O 1.435 1.064 38.339
O 1.659 1.263 8.039
O 1.657 1.259 16.249
O 1.649 1.238 40.873
O 1.662 1.246 24.458
O 1.659 1.238 32.665
O 1.092 5.063 4.644
O 1.089 5.057 12.852
O 1.081 5.038 37.477
O 1.093 5.054 21.070
O 1.090 5.047 29.278
O 0.731 6.163 18.766
O 0.729 6.157 26.974
O 0.736 6.180 2.349
O 0.733 6.173 10.557
O 0.726 6.154 35.182
O 2.211 1.951 2.581
O 2.208 1.944 10.790
O 2.200 1.926 35.413
O 2.211 1.939 19.002
O 2.208 1.933 27.209
O 3.651 0.476 14.895
O 3.654 0.482 6.686
O 3.651 0.465 23.096
O 3.649 0.459 31.304
O 3.643 0.457 39.519
O 2.822 2.861 22.864
O 2.819 2.855 31.072
O 2.830 2.880 6.453
O 2.828 2.874 14.662
O 2.819 2.855 39.286
O 2.465 3.980 25.158
O 2.476 4.001 0.540
O 2.474 3.995 8.748
O 2.470 3.988 16.957
O 2.464 3.974 33.365
O 4.199 1.144 20.354
O 4.196 1.138 28.562
O 4.204 1.167 3.936
O 4.201 1.161 12.144
O 4.193 1.142 36.768


Record 3
! Li7V7P8O34, relaxed, DFT GGA+U; values from VASP
! Energy relative to the elements = -2.6098 eV/atom
! SG = P2_1/c
! Magnetization = 14.42 μB/f.u.
! Uncorrected energy = -7.1318 eV/atom
&SYSTEM
  ibrav = 0, nat = 112, ntyp = 4
/
ATOMIC_SPECIES
Li 6.94 Li.upf
V 50.94 V.upf
P 30.97 P.upf
O 16.00 O.upf
CELL_PARAMETERS angstrom
8.071 0.000 0.000
0.000 20.043 0.000
-4.083 0.000 9.387
ATOMIC_POSITIONS angstrom
Li 0.000 0.000 0.000
Li -2.042 10.021 4.694
Li -1.576 2.737 7.969
Li 0.466 7.285 3.275
Li 1.885 4.851 1.817
Li -0.156 5.171 6.511
Li 0.341 11.028 7.634
Li 2.383 19.036 2.940
Li 1.604 1.006 6.447
Li 3.646 9.015 1.754
Li 4.144 14.872 2.877
Li 2.102 15.192 7.570
Li 3.521 12.758 6.112
Li 5.563 17.306 1.419
V -1.635 13.331 4.247
V -3.676 16.734 8.941
V -0.752 1.575 3.641
V -2.793 8.447 8.335
V 1.058 12.895 2.795
V -0.984 17.169 7.489
V 4.035 0.000 0.000
V 1.994 10.021 4.694
V 4.971 2.874 1.899
V 2.929 7.148 6.592
V 6.781 11.596 1.053
V 4.739 18.468 5.746
V 7.664 3.309 0.446
V 5.622 6.712 5.140
P -1.010 4.578 3.327
P -3.052 5.444 8.020
P -1.300 0.176 6.406
P 0.742 9.846 1.713
P 1.918 1.668 1.828
P -0.123 8.354 6.522
P 0.737 13.026 5.569
P 2.778 17.038 0.875
P 1.209 3.005 8.512
P 3.251 7.017 3.818
P 4.111 11.689 2.865
P 2.069 18.375 7.559
P 3.246 10.197 7.675
P 5.287 19.867 2.981
P 7.039 14.599 1.367
P 4.997 15.465 6.060
O -3.351 10.367 8.136
O -1.309 19.697 3.442
O -0.768 12.217 2.883
O -2.809 17.847 7.576
O -0.098 4.615 2.047
O -2.140 5.406 6.740
O -2.879 4.071 8.748
O -0.838 5.951 4.055
O 0.928 1.770 0.608
O -1.114 8.252 5.302
O 0.492 14.428 1.651
O -1.549 15.636 6.345
O -0.546 3.463 4.295
O -2.588 6.558 8.989
O 1.078 11.355 1.456
O -0.963 18.710 6.149
O -0.571 12.406 6.098
O 1.471 17.659 1.404
O -1.284 0.615 7.905
O -0.298 1.068 5.635
O 1.743 8.954 0.941
O 0.758 9.406 3.212
O 0.297 14.048 4.431
O -1.745 16.016 9.125
O 1.185 1.354 3.151
O -0.857 8.667 7.844
O 2.746 0.385 1.526
O 0.704 9.637 6.219
O 0.236 3.578 7.516
O 2.278 6.443 2.822
O 1.493 11.972 4.642
O -0.548 18.092 9.336
O 2.780 2.960 1.931
O 0.739 7.062 6.624
O 3.249 12.981 2.763
O 1.207 17.083 7.457
O 4.536 1.951 0.052
O 2.494 8.071 4.745
O 1.710 13.600 6.565
O 3.751 16.465 1.871
O 3.283 10.406 3.168
O 1.241 19.658 7.862
O 4.844 11.376 1.543
O 2.803 18.689 6.237
O 5.732 4.027 0.262
O 3.691 5.995 4.956
O 3.229 10.637 6.176
O 2.244 11.089 8.446
O 4.286 18.975 3.752
O 5.271 19.428 1.482
O 2.517 2.384 7.983
O 4.559 7.637 3.289
O 4.951 1.333 3.238
O 2.909 8.688 7.932
O 6.575 13.485 0.399
O 4.534 16.579 5.092
O 5.537 4.407 3.042
O 3.495 5.615 7.736
O 5.101 11.791 4.086
O 3.060 18.273 8.779
O 4.825 14.092 5.333
O 6.867 15.972 0.639
O 6.127 14.637 2.647
O 4.086 15.427 7.341
O 6.797 2.196 1.811
O 4.755 7.826 6.504
O 5.297 0.346 5.945
O 7.338 9.676 1.252